Here is crystalline B5F6 at its relaxed geometry from the Materials Project. Energies are from PBE.

Lattice parameters (Å, degrees): 14.7663 14.7663 14.7663 154.31 154.31 36.64
Last column: nearest neighbours and their distance in Å.
Sites, in units of the cell vectors:
B (0.0424, 0.0597, 0.5131)  2 F 1.33-1.34
B (0.7076, 0.1903, 0.9869)  2 F 1.33-1.34
F (0.5071, 0.3229, 0.2574)  1 B 1.34
F (0.6771, 0.9345, 0.1842)  1 B 1.34
B (0.3547, 0.6825, 0.4893)  4 B 1.60-1.76
B (0.6154, 0.6047, 0.1722)  4 B 1.60-1.76
F (0.7503, 0.4929, 0.8158)  1 B 1.34
F (0.0101, 0.6466, 0.7889)  1 B 1.33
F (0.6845, 0.0003, 0.7574)  1 B 1.34
B (0.8097, 0.7966, 0.5173)  2 F 1.33-1.34
F (0.2175, 0.7498, 0.2549)  1 B 1.35
F (0.9712, 0.2601, 0.8636)  1 B 1.33
B (0.1931, 0.8654, 0.5107)  4 B 1.60-1.76
F (0.9997, 0.7571, 0.6842)  1 B 1.34
B (0.5812, 0.5812, 0.0000)  2 F 1.35
F (0.7399, 0.6034, 0.7111)  1 B 1.33
B (0.3175, 0.8069, 0.6722)  4 B 1.60-1.76
F (0.0729, 0.3155, 0.3158)  1 B 1.34
F (0.4949, 0.9627, 0.7451)  1 B 1.35
B (0.5569, 0.3846, 0.9893)  4 B 1.60-1.76
F (0.3966, 0.1077, 0.1364)  1 B 1.33
B (0.9403, 0.4534, 0.9827)  2 F 1.33-1.34
F (0.7127, 0.4675, 0.9678)  1 B 1.35
F (0.8923, 0.0288, 0.2889)  1 B 1.33
B (0.2034, 0.7208, 0.0131)  2 F 1.33-1.34
F (0.7788, 0.9899, 0.6364)  1 B 1.33
B (0.1688, 0.6688, 0.5000)  2 F 1.35
F (0.5325, 0.5002, 0.2451)  1 B 1.35
B (0.3953, 0.5675, 0.0107)  4 B 1.60-1.76
B (0.3312, 0.8312, 0.5000)  2 F 1.35
F (0.2551, 0.2873, 0.7549)  1 B 1.35
F (0.3534, 0.1423, 0.3636)  1 B 1.33
F (0.0655, 0.2497, 0.7426)  1 B 1.34
F (0.2429, 0.9271, 0.2426)  1 B 1.34
F (0.0373, 0.7825, 0.5322)  1 B 1.35
B (0.4325, 0.4431, 0.8278)  4 B 1.60-1.76
B (0.1346, 0.6453, 0.3278)  4 B 1.60-1.76
B (0.4188, 0.4188, 0.0000)  2 F 1.35
B (0.5466, 0.5292, 0.4869)  2 F 1.33-1.34
B (0.2792, 0.2924, 0.4827)  2 F 1.33-1.34
F (0.4998, 0.7449, 0.0322)  1 B 1.35
F (0.2502, 0.5051, 0.4678)  1 B 1.35
B (0.4708, 0.9576, 0.0173)  2 F 1.33-1.34
F (0.8577, 0.2212, 0.2111)  1 B 1.33

## Properties
DFT total energy in eV for the cell shown: -260.5
ρ in g/cm3: 1.85

***

Here is crystalline Gd4B4O11F2 at its relaxed geometry from the Materials Project. Energies are from PBE.

Lattice parameters (Å, degrees): 7.2453 7.2453 13.8286 88.83 88.83 37.64
Last column: nearest neighbours and their distance in Å.
Sites, in units of the cell vectors:
B (0.0514, 0.1393, 0.9759)  3 O 1.37-1.40
Gd (0.4221, 0.4608, 0.8704)  7 O 2.38-2.65, 1 F 2.46
O (0.9547, 0.2202, 0.3945)  1 B 1.40
Gd (0.5779, 0.5392, 0.1296)  7 O 2.38-2.65, 1 F 2.46
O (0.0453, 0.7798, 0.6055)  1 B 1.40
Gd (0.2625, 0.2977, 0.6298)  6 O 2.31-2.47, 2 F 2.51-2.58
B (0.9295, 0.8844, 0.7138)  4 O 1.42-1.58
O (0.3570, 0.9916, 0.7433)  1 B 1.46
O (0.1819, 0.6214, 0.2238)  1 B 1.42
Gd (0.2977, 0.2625, 0.1298)  6 O 2.31-2.47, 2 F 2.51-2.58
F (0.7062, 0.7559, 0.5764)  3 Gd 2.46-2.58, 1 B 2.48, 3 O 2.64-2.70
O (0.0084, 0.6430, 0.7567)  1 B 1.46
Gd (0.7023, 0.7375, 0.8702)  6 O 2.31-2.47, 2 F 2.51-2.58
O (0.8235, 0.9475, 0.9339)  1 B 1.37
O (0.1530, 0.8470, 0.7500)  2 B 1.51
B (0.8607, 0.9486, 0.5241)  3 O 1.37-1.40
B (0.1156, 0.0705, 0.7862)  4 O 1.42-1.58
F (0.7559, 0.7062, 0.0764)  3 Gd 2.46-2.58, 1 B 2.48, 3 O 2.64-2.70
O (0.8181, 0.3786, 0.7762)  1 B 1.42
B (0.0705, 0.1156, 0.2862)  4 O 1.42-1.58
O (0.6430, 0.0084, 0.2567)  1 B 1.46
B (0.8844, 0.9295, 0.2138)  4 O 1.42-1.58
O (0.9475, 0.8235, 0.4339)  1 B 1.37
O (0.3786, 0.8181, 0.2762)  1 B 1.42
Gd (0.4608, 0.4221, 0.3704)  7 O 2.38-2.65, 1 F 2.46
B (0.9486, 0.8607, 0.0241)  3 O 1.37-1.40
B (0.1393, 0.0514, 0.4759)  3 O 1.37-1.40
O (0.4125, 0.7464, 0.4658)  1 B 1.38
O (0.2202, 0.9547, 0.8945)  1 B 1.40
Gd (0.5392, 0.5779, 0.6296)  7 O 2.38-2.65, 1 F 2.46
O (0.7464, 0.4125, 0.9658)  1 B 1.38
O (0.7798, 0.0453, 0.1055)  1 B 1.40
F (0.2441, 0.2938, 0.9236)  3 Gd 2.46-2.58, 1 B 2.48, 3 O 2.64-2.70
O (0.2536, 0.5875, 0.0342)  1 B 1.38
O (0.1765, 0.0525, 0.0661)  1 B 1.37
O (0.0525, 0.1765, 0.5661)  1 B 1.37
F (0.2938, 0.2441, 0.4236)  3 Gd 2.46-2.58, 1 B 2.48, 3 O 2.64-2.70
O (0.5875, 0.2536, 0.5342)  1 B 1.38
O (0.6214, 0.1819, 0.7238)  1 B 1.42
O (0.9916, 0.3570, 0.2433)  1 B 1.46
O (0.8470, 0.1530, 0.2500)  2 B 1.51
Gd (0.7375, 0.7023, 0.3702)  6 O 2.31-2.47, 2 F 2.51-2.58

## Properties
DFT total energy in eV for the cell shown: -413.5
ρ in g/cm3: 6.64

***

Here is crystalline B40H51F3 at its relaxed geometry from the Materials Project. Energies are from PBE.

Lattice parameters (Å, degrees): 10.5470 8.0540 9.8728 110.55 83.77 91.21
Last column: nearest neighbours and their distance in Å.
Sites, in units of the cell vectors:
H (0.9434, 0.0339, 0.0975)  1 B 1.21
B (0.6800, 0.1857, 0.3334)  1 H 1.40
H (0.9280, 0.3467, 0.3419)  1 H 0.85
B (0.2954, 0.1214, 0.2591)  1 H 1.19
H (0.8978, 0.2688, 0.3757)  1 H 0.85
B (0.3659, 0.6425, 0.7793)  1 H 1.21
B (0.3030, 0.6925, 0.9672)  2 H 1.22-1.35
H (0.9212, 0.9326, 0.6383)  1 B 1.20
H (0.3205, 0.0923, 0.6817)  2 B 1.33-1.38
H (0.1638, 0.9858, 0.2268)  1 B 1.26
F (0.8451, 0.4293, 0.6146)  1 B 1.37
B (0.3159, 0.4693, 0.1892)  1 H 1.31
B (0.7304, 0.7842, 0.3026)  1 F 1.35
B (0.7753, 0.3872, 0.1961)  1 H 1.29
B (0.2995, 0.9124, 0.6437)  1 H 1.20
B (0.4841, 0.3886, 0.1565)  3 H 1.31-1.44
B (0.6387, 0.4482, 0.1434)  1 H 1.32
B (0.7431, 0.4253, 0.5386)  1 F 1.37, 1 H 1.42
B (0.7769, 0.9869, 0.2994)  1 H 1.23
H (0.7618, 0.9588, 0.0453)  1 B 1.20
H (0.4451, 0.9894, 0.8268)  2 B 1.35-1.37
B (0.3926, 0.4687, 0.8746)  1 B 1.63
H (0.7889, 0.5176, 0.4443)  2 B 1.27-1.42
B (0.2868, 0.1096, 0.4272)  5 B 1.62-1.80
B (0.6097, 0.2542, 0.2038)  1 H 1.20
B (0.1327, 0.1896, 0.5220)  1 H 1.21
H (0.5319, 0.5841, 0.4291)  1 H 0.76
H (0.6541, 0.3609, 0.0021)  2 B 1.32
B (0.2369, 0.9127, 0.2827)  1 H 1.26
B (0.5632, 0.9256, 0.7566)  2 H 1.37-1.41
H (0.4864, 0.3087, 0.0009)  1 B 1.26
B (0.4167, 0.8350, 0.7238)  1 H 1.35
B (0.5287, 0.6927, 0.7443)  1 H 1.21
B (0.8632, 0.9644, 0.7570)  2 H 1.20
B (0.1987, 0.5197, 0.3616)  2 H 1.20-1.21
H (0.5621, 0.7460, 0.8652)  1 B 1.21
H (0.9096, 0.1249, 0.8380)  2 B 1.30-1.37
H (0.0675, 0.4804, 0.7423)  1 B 1.20
B (0.4797, 0.4528, 0.7234)  3 B 1.63-1.78
H (0.5557, 0.5747, 0.9507)  1 H 0.77
B (0.8459, 0.9604, 0.1181)  2 H 1.20-1.21
B (0.7776, 0.3552, 0.0118)  3 H 1.32-1.40
B (0.1024, 0.3274, 0.6980)  1 H 1.20
B (0.2212, 0.3102, 0.2488)  1 H 1.20
B (0.7984, 0.3603, 0.3524)  3 H 1.27-1.38
B (0.6958, 0.0236, 0.7759)  2 H 1.27-1.34
B (0.3669, 0.3308, 0.0125)  2 H 1.19-1.26
H (0.3555, 0.8280, 0.0363)  1 B 1.22
H (0.3689, 0.0610, 0.1525)  1 B 1.19
H (0.1745, 0.7366, 0.9948)  1 H 0.86
H (0.8252, 0.2651, 0.7449)  1 B 1.19
H (0.8442, 0.0393, 0.3995)  1 B 1.23
H (0.0942, 0.5722, 0.3531)  1 B 1.21
H (0.6321, 0.9722, 0.8792)  2 B 1.34-1.41
H (0.3447, 0.3982, 0.4694)  1 B 1.20
H (0.0444, 0.1679, 0.4493)  1 B 1.21
H (0.1708, 0.4832, 0.0230)  1 B 1.20
H (0.4737, 0.0104, 0.5195)  1 B 1.18
H (0.6123, 0.1289, 0.0921)  1 B 1.20
H (0.7508, 0.8773, 0.6982)  1 B 1.27
B (0.3617, 0.0321, 0.5409)  1 H 1.18
F (0.1151, 0.2625, 0.8062)  1 B 1.36
H (0.2046, 0.7386, 0.9108)  1 H 0.86
H (0.4776, 0.2825, 0.2321)  2 B 1.31-1.40
H (0.1348, 0.2437, 0.1787)  1 B 1.20
B (0.2582, 0.3134, 0.4123)  1 H 1.20
B (0.8701, 0.7910, 0.1864)  2 H 1.20-1.31
H (0.3188, 0.1907, 0.9609)  1 B 1.19
B (0.7745, 0.5761, 0.1525)  1 H 1.32
B (0.2120, 0.9597, 0.4770)  2 H 1.27-1.31
H (0.8775, 0.7857, 0.0516)  2 B 1.31-1.36
B (0.5874, 0.2947, 0.5913)  1 H 1.19
H (0.1934, 0.9032, 0.6993)  1 B 1.20
H (0.8247, 0.2547, 0.0864)  2 B 1.29-1.40
H (0.8907, 0.8757, 0.8253)  1 B 1.20
H (0.5193, 0.7610, 0.3126)  1 H 0.75
H (0.2583, 0.6262, 0.4482)  1 B 1.20
H (0.2810, 0.5878, 0.7031)  1 B 1.21
B (0.3260, 0.7411, 0.1576)  1 H 1.19
F (0.7133, 0.7456, 0.4257)  1 B 1.35
H (0.5017, 0.5091, 0.4496)  1 H 0.76
B (0.8017, 0.1974, 0.8346)  2 H 1.19-1.30
H (0.9745, 0.7746, 0.2188)  1 B 1.20
H (0.1594, 0.8380, 0.3732)  2 B 1.31-1.42
H (0.4382, 0.7467, 0.1642)  1 B 1.19
B (0.2798, 0.5249, 0.0393)  1 H 1.20
H (0.5810, 0.6406, 0.0187)  1 H 0.77
H (0.1118, 0.0316, 0.5596)  1 B 1.27
H (0.4183, 0.5404, 0.2481)  2 B 1.31-1.38
B (0.6065, 0.5106, 0.6388)  4 B 1.64-1.67
H (0.5817, 0.2114, 0.4463)  2 B 1.36-1.40
H (0.4939, 0.7898, 0.3916)  1 H 0.75
H (0.8092, 0.5250, 0.0108)  2 B 1.32-1.40
H (0.6238, 0.1870, 0.6356)  1 B 1.19

## Properties
ρ in g/cm3: 1.15
Relative energy among the computed polymorphs in kJ per mole of atoms: 22.05

***

ρ of number 1 (B5F6)? 1.85 g/cm3

***

Number 1 is which compound? B5F6

***

Number 2 is which compound? Gd4B4O11F2